1.
# Ca6FeCo3O12 GGA+U relaxed
# - Corrected total energy (MP2020 scheme): -0.519 Ry/atom
# - Total DFT energy (no corrections): -6.358 eV/atom
# - Energy relative to the elements: -2.458 eV per atom
data_Ca6FeCo3O12
_cell_length_a 6.3422
_cell_length_b 6.3422
_cell_length_c 12.6842
_cell_angle_alpha 92.49
_cell_angle_beta 92.49
_cell_angle_gamma 92.63
_space_group_name_H-M_alt 'P 1'
_space_group_IT_number 1
loop_
_space_group_symop_operation_xyz
'x,y,z'
loop_
_atom_site_label
_atom_site_type_symbol
_atom_site_fract_x
_atom_site_fract_y
_atom_site_fract_z
Ca1 Ca 0.6198 0.8802 0.1250
Ca2 Ca 0.6198 0.8802 0.6250
Ca3 Ca 0.8828 0.2504 0.3093
Ca4 Ca 0.8828 0.2504 0.8093
Ca5 Ca 0.2496 0.6172 0.4407
Ca6 Ca 0.2496 0.6172 0.9407
Ca7 Ca 0.1197 0.7493 0.1904
Ca8 Ca 0.1197 0.7493 0.6904
Ca9 Ca 0.7507 0.3803 0.0596
Ca10 Ca 0.7507 0.3803 0.5596
Ca11 Ca 0.3795 0.1205 0.3750
Ca12 Ca 0.3795 0.1205 0.8750
Fe1 Fe 0.7502 0.7498 0.3750
Fe2 Fe 0.7502 0.7498 0.8750
Co1 Co 0.4992 0.5000 0.2499
Co2 Co 0.4992 0.5000 0.7499
Co3 Co 0.0000 0.0008 0.0001
Co4 Co 0.0000 0.0008 0.5001
Co5 Co 0.2538 0.2462 0.1250
Co6 Co 0.2538 0.2462 0.6250
O1 O 0.5357 0.2094 0.2033
O2 O 0.5357 0.2094 0.7033
O3 O 0.2099 0.4115 0.2689
O4 O 0.2099 0.4115 0.7689
O5 O 0.4070 0.5378 0.1058
O6 O 0.4070 0.5378 0.6058
O7 O 0.0384 0.9087 0.3546
O8 O 0.0384 0.9087 0.8546
O9 O 0.9086 0.7096 0.0190
O10 O 0.9086 0.7096 0.5190
O11 O 0.7095 0.0375 0.4542
O12 O 0.7095 0.0375 0.9542
O13 O 0.4625 0.7905 0.2958
O14 O 0.4625 0.7905 0.7958
O15 O 0.7904 0.5914 0.2310
O16 O 0.7904 0.5914 0.7310
O17 O 0.5913 0.4616 0.3954
O18 O 0.5913 0.4616 0.8954
O19 O 0.9622 0.0930 0.1442
O20 O 0.9622 0.0930 0.6442
O21 O 0.0885 0.2901 0.4811
O22 O 0.0885 0.2901 0.9811
O23 O 0.2906 0.9643 0.0467
O24 O 0.2906 0.9643 0.5467

***

2.
# Ca2FeCoO5 GGA+U relaxed
# - Corrected total energy (MP2020 scheme): -0.530 Ry/atom
# - SG: No. 57
# - Total DFT energy (no corrections): -6.398 eV/atom
# - Energy relative to the elements: -2.287 eV per atom
data_Ca2FeCoO5
_cell_length_a 5.3255
_cell_length_b 11.2177
_cell_length_c 15.1943
_cell_angle_alpha 90.00
_cell_angle_beta 90.00
_cell_angle_gamma 90.00
_space_group_name_H-M_alt 'P 1'
_space_group_IT_number 1
loop_
_space_group_symop_operation_xyz
'x,y,z'
loop_
_atom_site_label
_atom_site_type_symbol
_atom_site_fract_x
_atom_site_fract_y
_atom_site_fract_z
Ca1 Ca 0.0129 0.0143 0.1073
Ca2 Ca 0.0129 0.0143 0.3927
Ca3 Ca 0.0129 0.4857 0.6073
Ca4 Ca 0.0129 0.4857 0.8927
Ca5 Ca 0.4802 0.2371 0.1074
Ca6 Ca 0.4802 0.2371 0.3926
Ca7 Ca 0.4802 0.2629 0.6074
Ca8 Ca 0.4802 0.2629 0.8926
Ca9 Ca 0.5198 0.7371 0.1074
Ca10 Ca 0.5198 0.7371 0.3926
Ca11 Ca 0.5198 0.7629 0.6074
Ca12 Ca 0.5198 0.7629 0.8926
Ca13 Ca 0.9871 0.5143 0.1073
Ca14 Ca 0.9871 0.5143 0.3927
Ca15 Ca 0.9871 0.9857 0.6073
Ca16 Ca 0.9871 0.9857 0.8927
Fe1 Fe 0.0532 0.7162 0.7500
Fe2 Fe 0.0532 0.7838 0.2500
Fe3 Fe 0.4494 0.0331 0.7500
Fe4 Fe 0.4494 0.4669 0.2500
Fe5 Fe 0.5506 0.5331 0.7500
Fe6 Fe 0.5506 0.9669 0.2500
Fe7 Fe 0.9468 0.2162 0.7500
Fe8 Fe 0.9468 0.2838 0.2500
Co1 Co 0.0062 0.7500 0.0000
Co2 Co 0.0062 0.7500 0.5000
Co3 Co 0.5000 0.0000 0.0000
Co4 Co 0.5000 0.0000 0.5000
Co5 Co 0.5000 0.5000 0.0000
Co6 Co 0.5000 0.5000 0.5000
Co7 Co 0.9938 0.2500 0.0000
Co8 Co 0.9938 0.2500 0.5000
O1 O 0.0141 0.2147 0.1412
O2 O 0.0141 0.2147 0.3588
O3 O 0.0141 0.2853 0.6412
O4 O 0.0141 0.2853 0.8588
O5 O 0.0846 0.0558 0.7500
O6 O 0.0846 0.4442 0.2500
O7 O 0.2397 0.1245 0.5178
O8 O 0.2397 0.1245 0.9822
O9 O 0.2397 0.3755 0.0178
O10 O 0.2397 0.3755 0.4822
O11 O 0.2623 0.6235 0.5103
O12 O 0.2623 0.6235 0.9897
O13 O 0.2623 0.8765 0.0103
O14 O 0.2623 0.8765 0.4897
O15 O 0.4196 0.6937 0.7500
O16 O 0.4196 0.8063 0.2500
O17 O 0.4733 0.0343 0.1402
O18 O 0.4733 0.0343 0.3598
O19 O 0.4733 0.4657 0.6402
O20 O 0.4733 0.4657 0.8598
O21 O 0.5267 0.5343 0.1402
O22 O 0.5267 0.5343 0.3598
O23 O 0.5267 0.9657 0.6402
O24 O 0.5267 0.9657 0.8598
O25 O 0.5804 0.1937 0.7500
O26 O 0.5804 0.3063 0.2500
O27 O 0.7377 0.1235 0.5103
O28 O 0.7377 0.1235 0.9897
O29 O 0.7377 0.3765 0.0103
O30 O 0.7377 0.3765 0.4897
O31 O 0.7603 0.6245 0.5178
O32 O 0.7603 0.6245 0.9822
O33 O 0.7603 0.8755 0.0178
O34 O 0.7603 0.8755 0.4822
O35 O 0.9154 0.5558 0.7500
O36 O 0.9154 0.9442 0.2500
O37 O 0.9859 0.7147 0.1412
O38 O 0.9859 0.7147 0.3588
O39 O 0.9859 0.7853 0.6412
O40 O 0.9859 0.7853 0.8588

***

3.
# CaFe3Co5O16 GGA+U relaxed
# - Corrected total energy (MP2020 scheme): -0.510 Ry/atom
# - SG: No. 1
# - Total DFT energy (no corrections): -5.898 eV/atom
# - Energy relative to the elements: -1.251 eV per atom
data_CaFe3Co5O16
_cell_length_a 5.7688
_cell_length_b 5.7696
_cell_length_c 9.1465
_cell_angle_alpha 86.17
_cell_angle_beta 87.50
_cell_angle_gamma 62.21
_space_group_name_H-M_alt 'P 1'
_space_group_IT_number 1
loop_
_space_group_symop_operation_xyz
'x,y,z'
loop_
_atom_site_label
_atom_site_type_symbol
_atom_site_fract_x
_atom_site_fract_y
_atom_site_fract_z
Ca1 Ca 0.0000 0.0000 0.0000
Fe1 Fe 0.4685 0.9562 0.2825
Fe2 Fe 0.6095 0.1449 0.7535
Fe3 Fe 0.9640 0.9550 0.3151
Co1 Co 0.1296 0.1394 0.5527
Co2 Co 0.1392 0.6218 0.7661
Co3 Co 0.4634 0.4611 0.0517
Co4 Co 0.6299 0.6374 0.7526
Co5 Co 0.9609 0.4597 0.2811
O1 O 0.1312 0.6333 0.1748
O2 O 0.1325 0.1371 0.1846
O3 O 0.2559 0.2934 0.4067
O4 O 0.2782 0.8479 0.4317
O5 O 0.2867 0.3345 0.8978
O6 O 0.3362 0.7420 0.8790
O7 O 0.4439 0.4972 0.6538
O8 O 0.4579 0.9711 0.6530
O9 O 0.6415 0.1265 0.1708
O10 O 0.6411 0.6092 0.1737
O11 O 0.7283 0.3452 0.8836
O12 O 0.7885 0.7639 0.3903
O13 O 0.8058 0.7886 0.8610
O14 O 0.8415 0.2820 0.4213
O15 O 0.9552 0.4787 0.6605
O16 O 0.9750 0.9756 0.6648

***

4.
# Sr7CaFe6Co2O20 GGA+U relaxed
# - Corrected total energy (MP2020 scheme): -0.532 Ry/atom
# - SG: No. 1
# - Total DFT energy (no corrections): -6.396 eV/atom
# - Energy relative to the elements: -2.305 eV per atom
data_Sr7CaFe6Co2O20
_cell_length_a 11.0131
_cell_length_b 11.4013
_cell_length_c 17.6913
_cell_angle_alpha 108.62
_cell_angle_beta 107.97
_cell_angle_gamma 90.34
_space_group_name_H-M_alt 'P 1'
_space_group_IT_number 1
loop_
_space_group_symop_operation_xyz
'x,y,z'
loop_
_atom_site_label
_atom_site_type_symbol
_atom_site_fract_x
_atom_site_fract_y
_atom_site_fract_z
Sr1 Sr 0.0000 0.0000 0.0000
Sr2 Sr 0.0000 0.5057 0.0003
Sr3 Sr 0.1060 0.0936 0.7163
Sr4 Sr 0.1087 0.0918 0.2169
Sr5 Sr 0.1099 0.5930 0.7164
Sr6 Sr 0.2491 0.7322 0.0002
Sr7 Sr 0.2493 0.7345 0.4956
Sr8 Sr 0.2501 0.2322 0.4965
Sr9 Sr 0.2522 0.2316 0.9993
Sr10 Sr 0.3595 0.3600 0.7162
Sr11 Sr 0.3591 0.3634 0.2171
Sr12 Sr 0.3600 0.8599 0.2172
Sr13 Sr 0.3595 0.8612 0.7161
Sr14 Sr 0.5010 0.5014 0.4974
Sr15 Sr 0.5023 0.0026 0.0000
Sr16 Sr 0.5031 0.5047 0.0001
Sr17 Sr 0.5055 0.0008 0.4967
Sr18 Sr 0.6094 0.5936 0.7167
Sr19 Sr 0.6144 0.0941 0.7171
Sr20 Sr 0.7483 0.2291 0.4947
Sr21 Sr 0.7482 0.7342 0.4939
Sr22 Sr 0.7513 0.7354 0.0001
Sr23 Sr 0.7516 0.2373 0.0005
Sr24 Sr 0.8594 0.8635 0.7160
Sr25 Sr 0.8598 0.3587 0.7164
Sr26 Sr 0.8636 0.3672 0.2179
Sr27 Sr 0.9948 0.9989 0.4954
Sr28 Sr 0.9995 0.5033 0.4968
Ca1 Ca 0.1149 0.5862 0.2139
Ca2 Ca 0.6122 0.0877 0.2125
Ca3 Ca 0.6155 0.5874 0.2126
Ca4 Ca 0.8581 0.8673 0.2125
Fe1 Fe 0.0515 0.2962 0.6065
Fe2 Fe 0.0519 0.7989 0.6071
Fe3 Fe 0.1974 0.8836 0.3560
Fe4 Fe 0.1991 0.3881 0.8568
Fe5 Fe 0.1994 0.3904 0.3575
Fe6 Fe 0.1990 0.8872 0.8567
Fe7 Fe 0.3023 0.0467 0.6062
Fe8 Fe 0.3024 0.5471 0.6061
Fe9 Fe 0.4491 0.2070 0.8577
Fe10 Fe 0.4488 0.7071 0.8580
Fe11 Fe 0.4498 0.7057 0.3554
Fe12 Fe 0.4507 0.2049 0.3552
Fe13 Fe 0.5543 0.2968 0.6074
Fe14 Fe 0.5539 0.7982 0.6066
Fe15 Fe 0.5565 0.3013 0.1128
Fe16 Fe 0.6975 0.3872 0.3547
Fe17 Fe 0.6987 0.3895 0.8569
Fe18 Fe 0.6990 0.8892 0.8574
Fe19 Fe 0.6996 0.8832 0.3489
Fe20 Fe 0.8031 0.5474 0.6075
Fe21 Fe 0.9458 0.2054 0.3564
Fe22 Fe 0.9478 0.7056 0.8561
Fe23 Fe 0.9490 0.7088 0.3531
Fe24 Fe 0.9507 0.2092 0.8610
Co1 Co 0.0490 0.2987 0.1071
Co2 Co 0.0543 0.7999 0.1168
Co3 Co 0.3043 0.5480 0.1115
Co4 Co 0.3075 0.0509 0.1133
Co5 Co 0.5579 0.8006 0.1142
Co6 Co 0.8029 0.0470 0.6069
Co7 Co 0.8037 0.0515 0.1134
Co8 Co 0.8068 0.5550 0.1152
O1 O 0.1078 0.8976 0.2502
O2 O 0.1149 0.3888 0.7451
O3 O 0.1152 0.4038 0.2511
O4 O 0.1151 0.8890 0.7455
O5 O 0.1191 0.2376 0.3560
O6 O 0.1237 0.7243 0.3486
O7 O 0.1237 0.7342 0.8578
O8 O 0.1247 0.2353 0.8585
O9 O 0.1653 0.9052 0.1014
O10 O 0.1692 0.4088 0.1018
O11 O 0.1739 0.4167 0.5983
O12 O 0.1737 0.9173 0.5990
O13 O 0.1811 0.1767 0.6138
O14 O 0.1815 0.6775 0.6138
O15 O 0.1836 0.6718 0.1210
O16 O 0.1889 0.1675 0.1165
O17 O 0.2206 0.5033 0.9636
O18 O 0.2221 0.0019 0.9644
O19 O 0.2226 0.9968 0.4666
O20 O 0.2271 0.5027 0.4682
O21 O 0.3530 0.5906 0.2516
O22 O 0.3585 0.0883 0.2493
O23 O 0.3648 0.0944 0.7466
O24 O 0.3655 0.5933 0.7469
O25 O 0.3726 0.3571 0.3570
O26 O 0.3728 0.8591 0.3575
O27 O 0.3744 0.3602 0.8581
O28 O 0.3739 0.8601 0.8574
O29 O 0.4177 0.9274 0.1016
O30 O 0.4246 0.4190 0.5986
O31 O 0.4251 0.4226 0.1019
O32 O 0.4252 0.9193 0.5984
O33 O 0.4324 0.6751 0.6141
O34 O 0.4325 0.1743 0.6134
O35 O 0.4423 0.1789 0.1219
O36 O 0.4425 0.6826 0.1193
O37 O 0.4750 0.7045 0.9677
O38 O 0.4757 0.2025 0.9678
O39 O 0.4794 0.2037 0.4662
O40 O 0.4815 0.7052 0.4673
O41 O 0.6117 0.9031 0.2444
O42 O 0.6154 0.4048 0.2486
O43 O 0.6151 0.8904 0.7464
O44 O 0.6155 0.3890 0.7448
O45 O 0.6207 0.7274 0.3454
O46 O 0.6218 0.2284 0.3472
O47 O 0.6234 0.2359 0.8579
O48 O 0.6232 0.7364 0.8578
O49 O 0.6714 0.9193 0.1036
O50 O 0.6736 0.4201 0.1017
O51 O 0.6747 0.4163 0.5986
O52 O 0.6762 0.9178 0.5988
O53 O 0.6835 0.1760 0.6136
O54 O 0.6825 0.6775 0.6142
O55 O 0.6881 0.1776 0.1213
O56 O 0.6906 0.6816 0.1231
O57 O 0.7197 0.5057 0.9628
O58 O 0.7203 0.9961 0.4559
O59 O 0.7233 0.4991 0.4653
O60 O 0.7240 0.0041 0.9670
O61 O 0.8531 0.5907 0.2509
O62 O 0.8586 0.0873 0.2472
O63 O 0.8654 0.5923 0.7445
O64 O 0.8666 0.0935 0.7548
O65 O 0.8719 0.3578 0.3565
O66 O 0.8725 0.8590 0.8570
O67 O 0.8738 0.3610 0.8587
O68 O 0.8758 0.8616 0.3472
O69 O 0.9163 0.9270 0.1019
O70 O 0.9233 0.9199 0.5986
O71 O 0.9240 0.4188 0.5981
O72 O 0.9250 0.4309 0.1027
O73 O 0.9304 0.1738 0.6135
O74 O 0.9309 0.6746 0.6122
O75 O 0.9365 0.1808 0.1182
O76 O 0.9378 0.6864 0.1225
O77 O 0.9682 0.6984 0.9634
O78 O 0.9758 0.2032 0.4668
O79 O 0.9757 0.2040 0.9709
O80 O 0.9758 0.7085 0.4650

***

5.
# Sr3Ca5Fe4Co4O24 GGA+U relaxed
# - Corrected total energy (MP2020 scheme): -0.513 Ry/atom
# - SG: No. 8
# - Total DFT energy (no corrections): -6.175 eV/atom
# - Energy relative to the elements: -2.073 eV per atom
data_Sr3Ca5Fe4Co4O24
_cell_length_a 7.6834
_cell_length_b 7.6834
_cell_length_c 7.6664
_cell_angle_alpha 90.01
_cell_angle_beta 90.01
_cell_angle_gamma 89.97
_space_group_name_H-M_alt 'P 1'
_space_group_IT_number 1
loop_
_space_group_symop_operation_xyz
'x,y,z'
loop_
_atom_site_label
_atom_site_type_symbol
_atom_site_fract_x
_atom_site_fract_y
_atom_site_fract_z
Sr1 Sr 0.0000 0.0000 0.0000
Sr2 Sr 0.0000 0.4994 0.0000
Sr3 Sr 0.4994 0.0000 0.0000
Ca1 Ca 0.5001 0.5001 0.9996
Ca2 Ca 0.5001 0.5001 0.4983
Ca3 Ca 0.5000 0.9994 0.4983
Ca4 Ca 0.9994 0.5000 0.4983
Ca5 Ca 0.9994 0.9994 0.4984
Fe1 Fe 0.2502 0.7490 0.7472
Fe2 Fe 0.7490 0.2502 0.7472
Fe3 Fe 0.7491 0.7491 0.2504
Fe4 Fe 0.7491 0.7491 0.7472
Co1 Co 0.2505 0.2505 0.2507
Co2 Co 0.2503 0.2503 0.7462
Co3 Co 0.2504 0.7489 0.2509
Co4 Co 0.7489 0.2504 0.2509
O1 O 0.0017 0.7491 0.2551
O2 O 0.0061 0.2504 0.7426
O3 O 0.2504 0.0061 0.7426
O4 O 0.2501 0.2501 0.4903
O5 O 0.2502 0.7490 0.4961
O6 O 0.2503 0.9888 0.2544
O7 O 0.2521 0.4932 0.7449
O8 O 0.2523 0.5103 0.2526
O9 O 0.2527 0.2527 0.0084
O10 O 0.2526 0.7471 0.0014
O11 O 0.4932 0.2521 0.7449
O12 O 0.4977 0.7472 0.2528
O13 O 0.5005 0.7473 0.7453
O14 O 0.5103 0.2523 0.2526
O15 O 0.7471 0.2526 0.0014
O16 O 0.7472 0.4977 0.2528
O17 O 0.7473 0.5005 0.7453
O18 O 0.7472 0.7472 0.9967
O19 O 0.7491 0.0017 0.2551
O20 O 0.7490 0.2502 0.4961
O21 O 0.7490 0.7490 0.5009
O22 O 0.7491 0.9989 0.7435
O23 O 0.9888 0.2503 0.2544
O24 O 0.9989 0.7491 0.7435

***

6.
# Sr6Ca2Fe3Co5O24 GGA+U relaxed
# - Corrected total energy (MP2020 scheme): -0.507 Ry/atom
# - SG: No. 3
# - Total DFT energy (no corrections): -6.115 eV/atom
# - Energy relative to the elements: -2.055 eV per atom
data_Sr6Ca2Fe3Co5O24
_cell_length_a 7.6904
_cell_length_b 7.7464
_cell_length_c 7.7560
_cell_angle_alpha 90.00
_cell_angle_beta 90.02
_cell_angle_gamma 90.00
_space_group_name_H-M_alt 'P 1'
_space_group_IT_number 1
loop_
_space_group_symop_operation_xyz
'x,y,z'
loop_
_atom_site_label
_atom_site_type_symbol
_atom_site_fract_x
_atom_site_fract_y
_atom_site_fract_z
Sr1 Sr 0.2473 0.0000 0.2496
Sr2 Sr 0.2470 0.0000 0.7505
Sr3 Sr 0.2470 0.5004 0.7506
Sr4 Sr 0.7530 0.0000 0.2495
Sr5 Sr 0.7527 0.0000 0.7504
Sr6 Sr 0.7530 0.5004 0.2494
Ca1 Ca 0.2471 0.5008 0.2491
Ca2 Ca 0.7529 0.5008 0.7509
Fe1 Fe 0.5000 0.2513 0.0000
Fe2 Fe 0.5000 0.7490 0.0000
Fe3 Fe 0.5000 0.7486 0.5000
Co1 Co 0.0000 0.2518 0.0000
Co2 Co 0.0000 0.2519 0.5000
Co3 Co 0.0000 0.7490 0.0000
Co4 Co 0.0000 0.7488 0.5000
Co5 Co 0.5000 0.2513 0.5000
O1 O 0.0000 0.0011 0.0000
O2 O 0.0000 0.4995 0.0000
O3 O 0.0000 0.5114 0.5000
O4 O 0.0000 0.9881 0.5000
O5 O 0.0017 0.2535 0.2386
O6 O 0.0026 0.7464 0.2507
O7 O 0.2388 0.2533 0.4978
O8 O 0.2390 0.7474 0.0017
O9 O 0.2482 0.2536 0.0017
O10 O 0.2483 0.7470 0.4978
O11 O 0.4975 0.2534 0.2570
O12 O 0.4981 0.7471 0.2477
O13 O 0.5000 0.0074 0.5000
O14 O 0.5000 0.4928 0.5000
O15 O 0.5000 0.5025 0.0000
O16 O 0.5000 0.9979 0.0000
O17 O 0.5019 0.7471 0.7523
O18 O 0.5025 0.2534 0.7430
O19 O 0.7518 0.2536 0.9983
O20 O 0.7517 0.7470 0.5022
O21 O 0.7612 0.2533 0.5022
O22 O 0.7610 0.7474 0.9983
O23 O 0.9974 0.7464 0.7493
O24 O 0.9983 0.2535 0.7614